DFT (GGA-PBE) results for SrGaBO4 after structural relaxation.

Cell lengths 8.999, 15.581, 5.879 Å; angles 90.00, 90.00, 90.00 degrees
Element x y z (fractional)
1 Sr 0.116 0.150 0.108
2 Sr 0.116 0.350 0.608
3 Sr 0.384 0.150 0.608
4 Sr 0.384 0.350 0.108
5 Sr 0.616 0.650 0.892
6 Sr 0.616 0.850 0.392
7 Sr 0.884 0.650 0.392
8 Sr 0.884 0.850 0.892
9 Ga 0.239 0.551 0.132
10 Ga 0.239 0.949 0.632
11 Ga 0.261 0.551 0.632
12 Ga 0.261 0.949 0.132
13 Ga 0.739 0.051 0.868
14 Ga 0.739 0.449 0.368
15 Ga 0.761 0.051 0.368
16 Ga 0.761 0.449 0.868
17 B 0.019 0.643 0.872
18 B 0.019 0.857 0.372
19 B 0.481 0.643 0.372
20 B 0.481 0.857 0.872
21 B 0.519 0.143 0.128
22 B 0.519 0.357 0.628
23 B 0.981 0.143 0.628
24 B 0.981 0.357 0.128
25 O 0.072 0.618 0.086
26 O 0.072 0.882 0.586
27 O 0.095 0.622 0.672
28 O 0.095 0.878 0.172
29 O 0.111 0.189 0.643
30 O 0.111 0.311 0.143
31 O 0.225 0.020 0.885
32 O 0.225 0.480 0.385
33 O 0.275 0.020 0.385
34 O 0.275 0.480 0.885
35 O 0.389 0.189 0.143
36 O 0.389 0.311 0.643
37 O 0.405 0.622 0.172
38 O 0.405 0.878 0.672
39 O 0.428 0.618 0.586
40 O 0.428 0.882 0.086
41 O 0.572 0.118 0.914
42 O 0.572 0.382 0.414
43 O 0.595 0.122 0.328
44 O 0.595 0.378 0.828
45 O 0.611 0.689 0.357
46 O 0.611 0.811 0.857
47 O 0.725 0.520 0.115
48 O 0.725 0.980 0.615
49 O 0.775 0.520 0.615
50 O 0.775 0.980 0.115
51 O 0.889 0.689 0.857
52 O 0.889 0.811 0.357
53 O 0.905 0.122 0.828
54 O 0.905 0.378 0.328
55 O 0.928 0.118 0.414
56 O 0.928 0.382 0.914

Space-group type: Pccn (56)
Total moment (Bohr magnetons per cell): 0.00
ΔE_f (eV per atom): -2.898
E (eV/atom): -6.961